# Ba2Mn2AlF11, relaxed, DFT PBE+U
# formation energy = -3.63 eV per atom
# E (MP2020) = -6.563 eV/atom
# calculated density = 4.39 Mg/m³
# total energy = -289.8 eV per cell
data_Ba2Mn2AlF11
_chemical_formula_sum 'Ba6 Mn6 Al3 F33'
_symmetry_space_group_name_H-M 'P 1'
_symmetry_Int_Tables_number 1
_cell_length_a 7.4858
_cell_length_b 7.4858
_cell_length_c 14.4989
_cell_angle_alpha 90.00
_cell_angle_beta 90.00
_cell_angle_gamma 120.00
loop_
_symmetry_equiv_pos_as_xyz
'x,y,z'
loop_
_atom_site_label
_atom_site_type_symbol
_atom_site_fract_x
_atom_site_fract_y
_atom_site_fract_z
F1 F 0.3077 0.7347 0.4189
F2 F 0.5268 0.1721 0.2593
F3 F 0.8279 0.3546 0.9260
Mn1 Mn 0.6978 0.0377 0.2220
Mn2 Mn 0.3056 0.8737 0.0586
F4 F 0.0950 0.9665 0.8491
F5 F 0.8313 0.1988 0.6875
F6 F 0.2653 0.5730 0.0856
Mn3 Mn 0.3399 0.3022 0.5553
F7 F 0.2461 0.2404 0.6944
F8 F 0.4534 0.6683 0.2460
F9 F 0.6454 0.4732 0.5926
F10 F 0.6129 0.0091 0.0833
F11 F 0.0703 0.3887 0.3144
F12 F 0.5766 0.8504 0.5436
Ba1 Ba 0.8661 0.8566 0.6662
F13 F 0.0335 0.1285 0.5157
F14 F 0.6113 0.6816 0.9810
F15 F 0.3184 0.9297 0.6477
F16 F 0.8012 0.6325 0.3541
Al1 Al 0.5019 0.6800 0.8719
Ba2 Ba 0.6492 0.4932 0.1333
Al2 Al 0.1781 0.4981 0.2052
F17 F 0.3963 0.3871 0.4166
F18 F 0.7073 0.9450 0.8534
F19 F 0.3675 0.1687 0.0208
F20 F 0.8715 0.9050 0.1824
Ba3 Ba 0.8441 0.3508 0.4666
Ba4 Ba 0.1434 0.0095 0.3329
Mn4 Mn 0.9623 0.6601 0.8886
F21 F 0.2377 0.2927 0.1868
Al3 Al 0.3200 0.8219 0.5386
Ba5 Ba 0.9905 0.1339 0.9996
Mn5 Mn 0.5682 0.6944 0.3920
F22 F 0.9943 0.7539 0.0277
Mn6 Mn 0.1263 0.4318 0.7253
F23 F 0.4270 0.6923 0.7522
F24 F 0.3317 0.7852 0.9127
F25 F 0.0550 0.7623 0.5201
F26 F 0.1496 0.7262 0.2102
F27 F 0.7596 0.0057 0.3610
F28 F 0.6584 0.5743 0.8228
F29 F 0.2148 0.5466 0.5794
F30 F 0.2738 0.4234 0.8769
F31 F 0.9909 0.6037 0.7500
F32 F 0.9159 0.3416 0.1561
F33 F 0.4257 0.0841 0.4894
Ba6 Ba 0.5068 0.1559 0.8000